1.
Compound: LiCu2Rh4O8
Source: Materials Project
Functional: PBE
Structure: optimized geometry

Results
VASP energy ... -5.9760 eV/atom
Energy above the lowest structure with this stoichiometry ... 10 meV/atom
Symmetry ... Imm2
Formation energy from the elements ... -1.066 eV per atom

Cell: 6.2392 6.2412 6.2802 Å, 90.00 120.22 120.01°
Last column: nearest neighbours and their distance in Å.
Element x y z (fractional)
O 0.6856 0.5635 0.8428  3 Rh 2.09, 1 Cu 2.12
Rh 0.6981 0.3491 0.5979  6 O 2.06-2.11
Rh 0.2118 0.3575 0.6060  6 O 2.05-2.10
Rh 0.2118 0.8542 0.6058  6 O 2.05-2.10
Li 0.1301 0.5650 0.0650  2 O 1.82
O 0.2282 0.1139 0.8363  3 Rh 2.07-2.10, 1 Cu 2.11
O 0.7380 0.5820 0.3689  1 Cu 1.82
O 0.6856 0.1221 0.8427  3 Rh 2.09, 1 Cu 2.12
Cu 0.6656 0.8328 0.3328  2 O 1.82
O 0.2282 0.1142 0.3919  3 Rh 2.07-2.10, 1 Cu 2.11
O 0.1751 0.5877 0.8001  1 Li 1.82
Rh 0.6981 0.3490 0.1002  6 O 2.06-2.11
Cu 0.9601 0.9801 0.9801  4 O 2.11-2.12
O 0.7380 0.1559 0.3691  1 Cu 1.82
O 0.1751 0.5874 0.3750  1 Li 1.82

---

2.
Compound: LiCu2Rh4O8
Source: Materials Project
Functional: PBE
Structure: optimized geometry

Results
VASP energy ... -5.9856 eV/atom
Energy above the lowest structure with this stoichiometry ... 0 meV/atom
Symmetry ... C2/m
Formation energy from the elements ... -1.075 eV per atom

Cell: 6.2957 6.2952 6.0023 Å, 90.06 118.45 123.00°
Last column: nearest neighbours and their distance in Å.
Element x y z (fractional)
Cu 0.5437 0.7282 0.2719  1 O 1.89
O 0.2683 0.1332 0.4013  3 Rh 2.10-2.11, 1 Cu 2.13, 1 Li 2.24
Rh 0.2499 0.3750 0.6250  6 O 2.11
Rh 0.2500 0.8750 0.6250  6 O 2.03-2.10
O 0.7832 0.6090 0.3918  1 Cu 1.89, 3 Rh 2.03
O 0.7331 0.5985 0.8668  3 Rh 2.10-2.11, 1 Cu 2.13, 1 Li 2.25
Cu 0.9566 0.0217 0.9782  1 O 1.89
O 0.7668 0.1514 0.3832  3 Rh 2.10-2.11, 1 Cu 2.13, 1 Li 2.24
Rh 0.7500 0.3750 0.6250  6 O 2.03-2.10
O 0.2683 0.1336 0.8669  3 Rh 2.10-2.11, 1 Cu 2.13, 1 Li 2.24
Li 0.2500 0.8750 0.1250  6 O 2.24-2.25, 2 Cu 2.31
O 0.7168 0.1410 0.8582  1 Cu 1.89, 3 Rh 2.03
O 0.2317 0.6169 0.8487  3 Rh 2.10-2.11, 1 Cu 2.13, 1 Li 2.24
O 0.2317 0.6164 0.3830  3 Rh 2.10-2.11, 1 Cu 2.13, 1 Li 2.24
Rh 0.7500 0.3750 0.1249  6 O 2.03-2.10

---

3.
Compound: LiCu2Rh4O8
Source: Materials Project
Functional: PBE
Structure: optimized geometry

Results
VASP energy ... -5.7323 eV/atom
Energy above the lowest structure with this stoichiometry ... 253 meV/atom
Symmetry ... P1
Formation energy from the elements ... -0.822 eV per atom

Cell: 6.2766 6.2737 6.2744 Å, 90.04 119.95 119.97°
Last column: nearest neighbours and their distance in Å.
Element x y z (fractional)
Rh 0.7637 0.3818 0.6180  1 Li 2.03, 6 O 2.06-2.20
Cu 0.0003 0.0006 0.0003  4 O 2.07-2.08
O 0.2262 0.6129 0.3862  3 Rh 2.06, 1 Cu 2.10
Cu 0.5004 0.7497 0.2503  4 O 2.10
O 0.7296 0.1348 0.8647  1 Li 1.77
O 0.2263 0.6133 0.8400  3 Rh 2.06, 1 Cu 2.10
Rh 0.2363 0.8543 0.6181  1 Li 2.03, 6 O 2.06-2.20
O 0.2703 0.1353 0.8652  1 Li 1.77
Rh 0.2363 0.3819 0.6182  1 Li 2.03, 6 O 2.06-2.20
O 0.7736 0.6137 0.3869  3 Rh 2.06, 1 Cu 2.10
Rh 0.7636 0.3818 0.1455  1 Li 2.03, 6 O 2.06-2.20
O 0.2703 0.1350 0.4051  1 Li 1.77
O 0.7736 0.1599 0.3865  3 Rh 2.06, 1 Cu 2.10
O 0.7297 0.5950 0.8650  1 Li 1.77
Li 0.4999 0.2500 0.7499  4 O 1.77